No. 1
A plane-wave DFT calculation with r2SCAN was carried out for crystalline ErUTe6 at its relaxed geometry.

Structure (POSCAR):
```
ErUTe6
1.0
4.363 0.000 0.000
0.000 4.358 0.000
0.000 0.000 26.086
Er U Te
2 2 12
Cartesian
0.000 0.000 0.000
0.000 2.179 13.043
2.181 0.000 17.238
2.181 2.179 4.195
0.000 0.000 3.201
0.000 0.000 10.589
0.000 0.000 19.689
0.000 2.179 6.646
0.000 2.179 16.244
0.000 2.179 23.632
2.181 0.000 6.647
2.181 0.000 13.972
2.181 0.000 23.627
2.181 2.179 0.930
2.181 2.179 10.584
2.181 2.179 19.690
```

## Properties
SG	Amm2
size of the total moment	5.1	μB per cell
formation enthalpy at 0 K	-89	kJ per mole of atoms


No. 2
A plane-wave DFT calculation with r2SCAN was carried out for crystalline Tm2GeO5 at its relaxed geometry.

Structure (POSCAR):
```
Tm2GeO5
1.0
10.097 0.000 0.000
0.000 3.626 0.000
0.000 0.000 10.918
Tm Ge O
8 4 20
Cartesian
1.120 0.907 2.410
1.373 0.907 6.066
3.676 2.720 0.607
3.928 2.720 7.869
6.169 0.907 3.049
6.421 0.907 10.311
8.724 2.720 4.852
8.977 2.720 8.508
1.766 0.907 9.600
3.283 2.720 4.141
6.814 0.907 6.777
8.331 2.720 1.318
0.063 0.907 9.228
0.076 2.720 6.609
2.259 0.907 0.422
2.351 2.720 9.627
2.457 2.720 2.509
2.592 0.907 7.968
2.698 0.907 4.168
2.789 2.720 5.881
4.972 0.907 1.150
4.985 2.720 3.769
5.112 0.907 7.149
5.125 2.720 9.768
7.308 0.907 5.037
7.399 2.720 6.750
7.505 2.720 2.950
7.640 0.907 8.409
7.746 0.907 1.291
7.838 2.720 10.496
10.021 0.907 4.309
10.034 2.720 1.690
```

## Properties
SG	Pnma
size of the total moment	0.0	μB per cell
formation enthalpy at 0 K	-315	kJ per mole of atoms


No. 3
A plane-wave DFT calculation with r2SCAN was carried out for crystalline Ho2SO2 at its relaxed geometry.

Structure (POSCAR):
```
Ho2SO2
1.0
3.750 0.000 0.000
-1.875 3.248 0.000
0.000 0.000 13.243
Ho S O
4 2 4
Cartesian
0.000 2.165 1.423
0.000 2.165 5.198
1.875 1.083 8.045
1.875 1.083 11.820
0.000 0.000 3.311
0.000 0.000 9.932
0.000 2.165 7.475
0.000 2.165 12.389
1.875 1.083 0.854
1.875 1.083 5.767
```

## Properties
SG	P6_3/mmc
size of the total moment	0.0	μB per cell
formation enthalpy at 0 K	-343	kJ per mole of atoms


Look up the size of the total moment of the second one.
0.0 μB per cell